Compound: Li4FeW3O12
Source: the Materials Project
Functional: PBE with a Hubbard U
Structure: relaxed

CIF file:
```
data_Li4FeW3O12
_space_group_name_H-M_alt 'P 1'
_space_group_IT_number 1
_cell_length_a 5.188
_cell_length_b 5.485
_cell_length_c 7.529
_cell_angle_alpha 94.23
_cell_angle_beta 90.25
_cell_angle_gamma 90.11
loop_
_space_group_symop_operation_xyz
'x,y,z'
loop_
_atom_site_label
_atom_site_fract_x
_atom_site_fract_y
_atom_site_fract_z
Li1 0.000 0.000 0.000
Li2 0.005 0.954 0.558
Li3 0.496 0.531 0.999
Li4 0.501 0.528 0.530
Fe1 0.503 0.955 0.801
W1 0.006 0.445 0.796
W2 0.500 0.951 0.301
W3 0.999 0.446 0.296
O1 0.119 0.438 0.548
O2 0.189 0.124 0.241
O3 0.196 0.736 0.865
O4 0.299 0.254 0.865
O5 0.321 0.631 0.244
O6 0.384 0.928 0.545
O7 0.621 0.934 0.062
O8 0.684 0.253 0.369
O9 0.701 0.628 0.750
O10 0.806 0.756 0.371
O11 0.824 0.137 0.754
O12 0.881 0.443 0.054
```

**Calculated formation energy**: -2.210 eV per atom
**Spin magnetization**: 6.0 Bohr magnetons per cell

Compound: Cs2MnSO4F3
Source: the Materials Project
Functional: PBE with a Hubbard U
Structure: relaxed

CIF file:
```
data_Cs2MnSO4F3
_space_group_name_H-M_alt 'P 1'
_space_group_IT_number 1
_cell_length_a 7.565
_cell_length_b 11.941
_cell_length_c 9.406
_cell_angle_alpha 90.00
_cell_angle_beta 92.56
_cell_angle_gamma 90.00
loop_
_space_group_symop_operation_xyz
'x,y,z'
loop_
_atom_site_label
_atom_site_fract_x
_atom_site_fract_y
_atom_site_fract_z
Cs1 0.209 0.188 0.331
Cs2 0.209 0.312 0.831
Cs3 0.288 0.690 0.825
Cs4 0.288 0.810 0.325
Cs5 0.712 0.190 0.675
Cs6 0.712 0.310 0.175
Cs7 0.791 0.688 0.169
Cs8 0.791 0.812 0.669
Mn1 0.000 0.000 0.000
Mn2 0.000 0.500 0.500
Mn3 0.500 0.000 0.000
Mn4 0.500 0.500 0.500
S1 0.254 0.002 0.709
S2 0.254 0.498 0.209
S3 0.746 0.502 0.791
S4 0.746 0.998 0.291
O1 0.108 0.047 0.796
O2 0.108 0.453 0.296
O3 0.192 0.593 0.120
O4 0.192 0.907 0.620
O5 0.329 0.094 0.627
O6 0.329 0.406 0.127
O7 0.399 0.547 0.312
O8 0.399 0.953 0.812
O9 0.601 0.047 0.188
O10 0.601 0.453 0.688
O11 0.671 0.594 0.873
O12 0.671 0.906 0.373
O13 0.808 0.093 0.380
O14 0.808 0.407 0.880
O15 0.892 0.547 0.704
O16 0.892 0.953 0.204
F1 0.020 0.653 0.462
F2 0.020 0.847 0.962
F3 0.237 0.002 0.091
F4 0.237 0.498 0.591
F5 0.482 0.153 0.953
F6 0.482 0.347 0.453
F7 0.518 0.653 0.547
F8 0.518 0.847 0.047
F9 0.763 0.502 0.409
F10 0.763 0.998 0.909
F11 0.980 0.153 0.038
F12 0.980 0.347 0.538
```

**Calculated formation energy**: -2.515 eV per atom
**Spin magnetization**: 16.0 Bohr magnetons per cell